*i*
Material: Li4Re6S11
Method: DFT, PBE
State: optimized geometry

abc: 9.6613 14.2038 11.9028
angles: 90.00 90.00 90.00
Space group Pccn (No. 56)
Symmetry-distinct sites (fractional):
Li 0.0218 0.2211 0.1437 [8 per cell]
Li 0.1680 0.6557 0.6478 [8 per cell]
Re 0.0706 0.5501 0.1321 [8 per cell]
Re 0.1083 0.1081 0.5218 [8 per cell]
Re 0.1459 0.5533 0.9178 [8 per cell]
S 0.0280 0.1009 0.7185 [8 per cell]
S 0.0987 0.6964 0.0281 [8 per cell]
S 0.1648 0.0967 0.3272 [8 per cell]
S 0.1679 0.6258 0.3016 [8 per cell]
S 0.2016 0.0040 0.0648 [8 per cell]
S 0.2500 0.2500 0.0750 [4 per cell]

***

*ii*
Material: Li4Re6S11
Method: DFT, PBE
State: optimized geometry

abc: 9.6601 13.7611 11.9881
angles: 90.00 90.00 90.00
Space group Pccn (No. 56)
Symmetry-distinct sites (fractional):
Li 0.0667 0.1444 0.1319 [8 per cell]
Li 0.1429 0.6858 0.6884 [8 per cell]
Re 0.0735 0.5559 0.1280 [8 per cell]
Re 0.1093 0.1098 0.5231 [8 per cell]
Re 0.1424 0.5552 0.9141 [8 per cell]
S 0.0394 0.0990 0.7171 [8 per cell]
S 0.0944 0.7046 0.0180 [8 per cell]
S 0.1632 0.1017 0.3280 [8 per cell]
S 0.1668 0.6335 0.2994 [8 per cell]
S 0.1991 0.5059 0.5599 [8 per cell]
S 0.2500 0.2500 0.0805 [4 per cell]

***

Each structure's energy above the most stable one, in kJ/mol of atoms: *i* 2.3; *ii* 0.0.

***

*i*
Material: Li2S
Method: DFT, PBE
State: optimized geometry

Results
* piezoelectric modulus e_max: 0.41 C/m2

abc: 3.9962 3.9962 110.2533
angles: 90.00 90.00 120.00
Space group R3m (No. 160, hexagonal axes)
Symmetry-distinct sites (fractional):
Li 0.0000 0.0000 0.0000 [3 per cell]
Li 0.0000 0.0000 0.0202 [3 per cell]
Li 0.0000 0.0000 0.1104 [3 per cell]
Li 0.0000 0.0000 0.1559 [3 per cell]
Li 0.0000 0.0000 0.2015 [3 per cell]
Li 0.0000 0.0000 0.2468 [3 per cell]
Li 0.0000 0.0000 0.2921 [3 per cell]
Li 0.0000 0.0000 0.3626 [3 per cell]
Li 0.0000 0.0000 0.3835 [3 per cell]
Li 0.0000 0.0000 0.4278 [3 per cell]
Li 0.0000 0.0000 0.4742 [3 per cell]
Li 0.0000 0.0000 0.5196 [3 per cell]
Li 0.0000 0.0000 0.5651 [3 per cell]
Li 0.0000 0.0000 0.6103 [3 per cell]
Li 0.0000 0.0000 0.6554 [3 per cell]
Li 0.0000 0.0000 0.7266 [3 per cell]
Li 0.0000 0.0000 0.7474 [3 per cell]
Li 0.0000 0.0000 0.7922 [3 per cell]
Li 0.0000 0.0000 0.8379 [3 per cell]
Li 0.0000 0.0000 0.8832 [3 per cell]
Li 0.0000 0.0000 0.9286 [3 per cell]
Li 0.0000 0.0000 0.9731 [3 per cell]
S 0.0000 0.0000 0.0412 [3 per cell]
S 0.0000 0.0000 0.1334 [3 per cell]
S 0.0000 0.0000 0.2244 [3 per cell]
S 0.0000 0.0000 0.3148 [3 per cell]
S 0.0000 0.0000 0.4049 [3 per cell]
S 0.0000 0.0000 0.4971 [3 per cell]
S 0.0000 0.0000 0.5879 [3 per cell]
S 0.0000 0.0000 0.6775 [3 per cell]
S 0.0000 0.0000 0.7697 [3 per cell]
S 0.0000 0.0000 0.8608 [3 per cell]
S 0.0000 0.0000 0.9513 [3 per cell]

***

*ii*
Material: Li2S
Method: DFT, PBE
State: optimized geometry

abc: 3.9963 3.9963 36.8235
angles: 86.89 86.89 60.00
Space group P1 (No. 1)
Symmetry-distinct sites (fractional):
Li 0.0000 0.0000 0.0000 [1 per cell]
Li 0.0157 0.0134 0.9391 [1 per cell]
Li 0.0639 0.0376 0.8588 [1 per cell]
Li 0.1124 0.0680 0.7252 [1 per cell]
Li 0.1335 0.1340 0.5888 [1 per cell]
Li 0.1955 0.1716 0.4544 [1 per cell]
Li 0.2401 0.2042 0.3155 [1 per cell]
Li 0.2734 0.2577 0.1809 [1 per cell]
Li 0.3078 0.2761 0.1208 [1 per cell]
Li 0.3821 0.3405 0.9050 [1 per cell]
Li 0.4282 0.3966 0.7699 [1 per cell]
Li 0.4511 0.4435 0.6345 [1 per cell]
Li 0.5132 0.4730 0.4981 [1 per cell]
Li 0.5665 0.5297 0.3628 [1 per cell]
Li 0.5863 0.5889 0.2234 [1 per cell]
Li 0.6409 0.6364 0.0904 [1 per cell]
Li 0.6782 0.6413 0.0272 [1 per cell]
Li 0.7217 0.7240 0.8163 [1 per cell]
Li 0.7826 0.7471 0.6808 [1 per cell]
Li 0.8368 0.8069 0.5438 [1 per cell]
Li 0.8664 0.8621 0.4068 [1 per cell]
Li 0.9254 0.9015 0.2706 [1 per cell]
S 0.0636 0.0573 0.7932 [1 per cell]
S 0.1636 0.1589 0.5223 [1 per cell]
S 0.2620 0.2465 0.2485 [1 per cell]
S 0.3443 0.3331 0.9736 [1 per cell]
S 0.4497 0.4194 0.7028 [1 per cell]
S 0.5162 0.5164 0.4313 [1 per cell]
S 0.6198 0.5919 0.1539 [1 per cell]
S 0.7019 0.6893 0.8845 [1 per cell]
S 0.8098 0.7894 0.6126 [1 per cell]
S 0.8922 0.8675 0.3413 [1 per cell]
S 0.9823 0.9624 0.0623 [1 per cell]

***

*iii*
Material: Li2S
Method: DFT, PBE
State: optimized geometry

abc: 5.7214 5.7214 5.7214
angles: 90.00 90.00 90.00
Space group Fm-3m (No. 225)
Symmetry-distinct sites (fractional):
Li 0.2500 0.2500 0.2500 [8 per cell]
S 0.0000 0.0000 0.0000 [4 per cell]

***

Each structure's energy above the most stable one, in kJ/mol of atoms: *i* 7.2; *ii* 7.9; *iii* 0.0.

***

*i*
Material: LiSbS
Method: DFT, PBE
State: optimized geometry

Results
* piezoelectric modulus e_max: 0.15 C/m2

abc: 4.4390 4.5348 7.1736
angles: 88.84 89.77 89.75
Space group P1 (No. 1)
Symmetry-distinct sites (fractional):
Li 0.0000 0.0000 0.0000 [1 per cell]
Li 0.4991 0.4973 0.9932 [1 per cell]
Sb 0.4774 0.0053 0.5045 [1 per cell]
Sb 0.9719 0.4410 0.4867 [1 per cell]
S 0.4984 0.9996 0.8477 [1 per cell]
S 0.9965 0.4923 0.1446 [1 per cell]

***

*ii*
Material: LiSbS
Method: DFT, PBE
State: optimized geometry

abc: 6.2394 7.2987 6.2203
angles: 90.00 90.00 90.00
Space group Pca2_1 (No. 29)
Symmetry-distinct sites (fractional):
Li 0.2489 0.0042 0.0000 [4 per cell]
Sb 0.0079 0.5139 0.2065 [4 per cell]
S 0.0026 0.8483 0.2473 [4 per cell]

***

Each structure's energy above the most stable one, in kJ/mol of atoms: *i* 0.0; *ii* 1.5.

***

*i*
Material: Li3SbS4
Method: DFT, PBE
State: optimized geometry

abc: 7.2025 9.2496 10.0661
angles: 90.00 90.00 90.00
Space group Pnma (No. 62)
Symmetry-distinct sites (fractional):
Li 0.0121 0.2500 0.0958 [4 per cell]
Li 0.2361 0.0483 0.7452 [8 per cell]
Sb 0.0746 0.2500 0.4935 [4 per cell]
S 0.0183 0.7500 0.2798 [4 per cell]
S 0.1477 0.7500 0.6807 [4 per cell]
S 0.2153 0.5529 0.9802 [8 per cell]

***

*ii*
Material: Li3SbS4
Method: DFT, PBE
State: optimized geometry

Results
* piezoelectric modulus e_max: 0.01 C/m2

abc: 6.1621 6.1621 6.1621
angles: 90.00 90.00 90.00
Space group P-43m (No. 215)
Symmetry-distinct sites (fractional):
Li 0.0000 0.0000 0.5000 [3 per cell]
Sb 0.0000 0.0000 0.0000 [1 per cell]
S 0.2203 0.2203 0.2203 [4 per cell]

***

*iii*
Material: Li3SbS4
Method: DFT, PBE
State: optimized geometry

Results
* piezoelectric modulus e_max: 0.18 C/m2

abc: 5.6686 5.6686 11.1237
angles: 90.00 90.00 90.00
Space group I-42m (No. 121)
Symmetry-distinct sites (fractional):
Li 0.0000 0.0000 0.0000 [2 per cell]
Li 0.0000 0.5000 0.2500 [4 per cell]
Sb 0.0000 0.0000 0.5000 [2 per cell]
S 0.2405 0.2405 0.6248 [8 per cell]

***

*iv*
Material: Li3SbS4
Method: DFT, PBE
State: optimized geometry

Results
* piezoelectric modulus e_max: 0.31 C/m2

abc: 8.0294 6.9209 6.4772
angles: 90.00 90.00 90.00
Space group Pmn2_1 (No. 31)
Symmetry-distinct sites (fractional):
Li 0.0000 0.1535 0.0000 [2 per cell]
Li 0.2463 0.3243 0.4939 [4 per cell]
Sb 0.0000 0.8263 0.4926 [2 per cell]
S 0.0000 0.1479 0.6166 [2 per cell]
S 0.0000 0.8199 0.1263 [2 per cell]
S 0.2416 0.6649 0.6121 [4 per cell]

***

Each structure's energy above the most stable one, in kJ/mol of atoms: *i* 7.4; *ii* 6.9; *iii* 0.5; *iv* 0.0.